Record 1
Compound: NaGaSe2O6
Source: the Materials Project
Functional: PBE-GGA
Structure: optimized geometry

Calculated values
Its space group is Pnma. As for the formation enthalpy at 0 K: -1607 kJ/mol of formula units. The value obtained for the total magnetization is 0.00 μB/atom.

a = 5.403 Å, b = 7.964 Å, c = 12.694 Å
α = 90.00°, β = 90.00°, γ = 90.00°
Sites, in units of the cell vectors:
Se: 0.750 0.290 0.934
Se: 0.750 0.990 0.706
Se: 0.250 0.010 0.294
Se: 0.750 0.510 0.206
Se: 0.250 0.790 0.566
Se: 0.250 0.490 0.794
Se: 0.250 0.710 0.066
Se: 0.750 0.210 0.434
O: 0.505 0.201 0.002
O: 0.005 0.799 0.998
O: 0.250 0.992 0.520
O: 0.000 0.873 0.288
O: 0.250 0.434 0.662
O: 0.500 0.373 0.212
O: 0.495 0.799 0.998
O: 0.250 0.508 0.020
O: 0.000 0.627 0.788
O: 0.250 0.066 0.162
O: 0.005 0.701 0.498
O: 0.000 0.127 0.712
O: 0.500 0.873 0.288
O: 0.995 0.201 0.002
O: 0.495 0.701 0.498
O: 0.750 0.934 0.838
O: 0.000 0.373 0.212
O: 0.995 0.299 0.502
O: 0.750 0.008 0.480
O: 0.750 0.492 0.980
O: 0.500 0.627 0.788
O: 0.505 0.299 0.502
O: 0.750 0.566 0.338
O: 0.500 0.127 0.712
Ga: 0.750 0.700 0.898
Ga: 0.750 0.800 0.398
Ga: 0.250 0.200 0.602
Ga: 0.250 0.300 0.102
Na: 0.250 0.489 0.385
Na: 0.250 0.011 0.885
Na: 0.750 0.989 0.115
Na: 0.750 0.511 0.615



Record 2
Compound: KFe
Source: the Materials Project
Functional: PBE-GGA
Structure: optimized geometry

Calculated values
Its space group is C2/c. As for the formation enthalpy at 0 K: 196 kJ/mol of formula units. The value obtained for the total magnetization is 1.43 μB/atom.

a = 5.985 Å, b = 5.985 Å, c = 4.415 Å
α = 80.81°, β = 80.81°, γ = 114.50°
Sites, in units of the cell vectors:
Fe: 0.523 0.477 0.250
Fe: 0.477 0.523 0.750
K: 0.836 0.164 0.750
K: 0.164 0.836 0.250